No. 1
Computed, not measured: an optimized crystal structure of Li7Mn2Co3O12 at the PBE+U level of DFT.

Geometry as extended XYZ:
```
24
Lattice="-3.316 -3.862 -0.584 1.023 0.024 -5.755 6.699 -2.759 2.618" Properties=species:S:1:pos:R:3 pbc="T T T"
Li 3.593 -1.387 -0.089
Li 5.033 -3.600 -1.367
Li 0.812 -5.210 -3.632
Li 1.691 -3.311 1.017
Li 4.512 -3.567 1.490
Li -0.107 -3.030 -5.212
Li -0.628 -2.997 -2.354
O -0.333 -0.877 -2.223
O 4.739 -5.720 -1.498
O 0.210 -0.883 -5.235
O 3.769 -3.613 -2.993
O 4.196 -5.714 1.513
O 1.527 -5.425 1.052
O 2.335 -1.131 -1.743
O 1.113 -3.020 -3.421
O 3.292 -3.577 -0.300
O 0.636 -2.985 -0.729
O 2.070 -5.466 -1.978
O 2.879 -1.172 -4.773
Co 2.203 -3.299 -1.861
Co 1.313 -1.123 -3.486
Co 3.093 -5.474 -0.235
Mn 0.784 -1.096 -0.610
Mn 3.621 -5.501 -3.111
```

- E (eV/atom) = -5.900
- total energy after the MP2020 corrections (eV for the cell shown) = -158.09
- ρ (g/cm³) = 4.102
- excess energy over the best structure of this formula in the dataset (meV/atom) = 29

No. 2
Computed, not measured: an optimized crystal structure of Li4MnCo2O7 at the PBE+U level of DFT.

Geometry as extended XYZ:
```
28
Lattice="2.982 0.000 0.000 1.150 7.711 0.000 1.401 1.778 10.966" Properties=species:S:1:pos:R:3 pbc="T T T"
Co 2.767 5.671 1.640
Co 4.234 5.683 7.810
Co 2.624 7.647 6.281
Co 2.784 3.743 9.395
O 2.882 2.302 2.878
O 2.716 7.069 8.099
O 4.197 8.036 10.730
O 2.527 8.296 4.454
O 2.749 5.342 3.361
O 2.805 1.285 6.566
O 4.075 7.131 1.880
O 2.780 4.265 7.510
O 1.367 3.134 5.053
O 1.420 4.433 1.207
O 1.330 2.318 9.109
O 1.291 1.447 0.309
O 4.247 5.142 9.664
O 4.317 6.239 5.923
Li 2.840 2.900 0.892
Li 2.738 4.760 5.421
Li 4.086 8.553 8.587
Li 1.416 1.026 2.359
Li 1.364 3.736 3.080
Li 1.372 2.793 7.077
Li 2.697 6.601 10.212
Li 4.227 6.647 3.852
Mn 4.109 7.693 0.025
Mn 2.862 1.919 4.669
```

- E (eV/atom) = -5.808
- total energy after the MP2020 corrections (eV for the cell shown) = -182.12
- ρ (g/cm³) = 4.117
- excess energy over the best structure of this formula in the dataset (meV/atom) = 69

No. 3
Computed, not measured: an optimized crystal structure of Li5Mn2CoO8 at the PBE+U level of DFT.

Geometry as extended XYZ:
```
32
Lattice="-5.600 -0.345 -1.345 -2.870 -0.185 5.827 0.890 7.754 0.044" Properties=species:S:1:pos:R:3 pbc="T T T"
Mn -2.379 3.652 2.679
Mn -5.195 3.480 2.018
Mn -2.881 -0.139 5.747
Mn -5.665 -0.311 5.063
O -1.117 5.048 3.241
O -2.300 6.940 1.207
O -2.775 3.240 4.413
O -4.800 4.168 0.091
O -3.912 4.886 2.545
O -2.485 0.274 4.012
O -3.611 2.361 1.919
O -1.927 4.310 0.782
O -5.289 0.097 3.325
O -1.585 1.180 -0.021
O -6.057 6.037 4.580
O -5.172 6.798 0.517
O -3.252 6.220 5.228
O -4.379 0.993 -0.664
O -6.405 2.174 1.275
O -5.571 3.072 3.756
Li -2.804 6.659 3.279
Li -5.620 6.486 2.599
Li -4.851 0.693 1.382
Li -6.836 1.495 3.204
Li -4.024 1.674 3.877
Li -7.165 4.264 3.846
Li -0.354 2.864 0.553
Li -4.350 4.437 4.526
Li -3.139 2.661 -0.127
Li -2.036 0.835 2.046
Co -3.550 5.554 0.649
Co -0.750 5.726 1.321
```

- E (eV/atom) = -6.022
- total energy after the MP2020 corrections (eV for the cell shown) = -213.63
- ρ (g/cm³) = 3.919
- excess energy over the best structure of this formula in the dataset (meV/atom) = 18